No. 1
A plane-wave DFT calculation with r2SCAN was carried out for an optimized crystal structure of RbW3O9.

Cell: 7.4087 7.4087 7.6455 Å, 90.00 90.00 120.01°
With the nearest neighbours (Å) after each atom.
Atoms (fractional coordinates):
O1 0.7110 0.2891 0.0000  2 W 1.92
O2 0.2892 0.0782 0.0000  2 W 1.92
O3 0.2890 0.7109 0.0000  2 W 1.92
O4 0.9218 0.7109 0.0000  2 W 1.92
O5 0.7109 0.2890 0.5000  2 W 1.92
O6 0.0000 0.5000 0.2500  2 W 1.91
O7 0.0000 0.0000 0.2500  2 W 1.91
O8 0.7109 0.9218 0.5000  2 W 1.92
O9 0.0000 0.0000 0.7500  2 W 1.91
O10 0.0782 0.2891 0.0000  2 W 1.92
O11 0.5000 0.0000 0.2500  2 W 1.91
O12 0.2891 0.0782 0.5000  2 W 1.92
O13 0.5000 0.0000 0.7500  2 W 1.91
O14 0.0000 0.5000 0.7500  2 W 1.91
O15 0.0782 0.2892 0.5000  2 W 1.92
O16 0.2891 0.7110 0.5000  2 W 1.92
O17 0.9218 0.7108 0.5000  2 W 1.92
O18 0.7108 0.9218 0.0000  2 W 1.92
W1 0.5000 0.0000 0.5000  6 O 1.91-1.92
W2 0.0000 0.5000 0.5000  6 O 1.91-1.92
W3 0.0000 0.0000 0.0000  6 O 1.91-1.92
W4 0.0000 0.0000 0.5000  6 O 1.91-1.92
W5 0.5000 0.0000 0.0000  6 O 1.91-1.92
W6 0.0000 0.5000 0.0000  6 O 1.91-1.92
Rb1 0.5000 0.5000 0.2500  18 O 3.31-3.70
Rb2 0.5000 0.5000 0.7500  18 O 3.31-3.70

Output
The value obtained for the magnetic moment is 0.000 μB per formula unit. The calculated formation energy is -2.358 eV per atom.


No. 2
A plane-wave DFT calculation with r2SCAN was carried out for an optimized crystal structure of CeMgAu2.

Cell: 5.0126 5.0126 5.0126 Å, 60.00 60.00 60.00°
With the nearest neighbours (Å) after each atom.
Atoms (fractional coordinates):
Mg1 0.0000 0.0000 0.0000  8 Au 3.07
Au1 0.7500 0.7500 0.7500  4 Ce 3.07, 4 Mg 3.07
Au2 0.2500 0.2500 0.2500  4 Ce 3.07, 4 Mg 3.07
Ce1 0.5000 0.5000 0.5000  8 Au 3.07

Output
The value obtained for the magnetic moment is 1.194 μB per formula unit. The calculated formation energy is -0.724 eV per atom. The space group is Fm-3m (225).


No. 3
A plane-wave DFT calculation with r2SCAN was carried out for an optimized crystal structure of TmMg3.

Cell: 6.6061 6.6061 5.1403 Å, 90.00 90.00 120.00°
With the nearest neighbours (Å) after each atom.
Atoms (fractional coordinates):
Tm1 0.6667 0.3333 0.2500  12 Mg 3.22-3.30
Tm2 0.3333 0.6667 0.7500  12 Mg 3.22-3.30
Mg1 0.8365 0.1635 0.7500  8 Mg 3.18-3.37, 4 Tm 3.22-3.30
Mg2 0.8365 0.6730 0.7500  8 Mg 3.18-3.37, 4 Tm 3.22-3.30
Mg3 0.3270 0.1635 0.7500  8 Mg 3.18-3.37, 4 Tm 3.22-3.30
Mg4 0.1635 0.8365 0.2500  8 Mg 3.18-3.37, 4 Tm 3.22-3.30
Mg5 0.6730 0.8365 0.2500  8 Mg 3.18-3.37, 4 Tm 3.22-3.30
Mg6 0.1635 0.3270 0.2500  8 Mg 3.18-3.37, 4 Tm 3.22-3.30

Output
The value obtained for the magnetic moment is 0.044 μB per formula unit. The calculated formation energy is -0.038 eV per atom. The space group is P6_3/mmc (194).


No. 4
A plane-wave DFT calculation with r2SCAN was carried out for an optimized crystal structure of CeSiNi.

Cell: 4.0125 4.0125 4.0846 Å, 90.00 90.00 120.00°
With the nearest neighbours (Å) after each atom.
Atoms (fractional coordinates):
Ni1 0.0000 0.0000 0.5000  3 Si 2.32
Si1 0.3333 0.6667 0.5000  3 Ni 2.32
Ce1 0.6667 0.3333 0.0000  6 Ni 3.09, 6 Si 3.09

Output
The value obtained for the magnetic moment is 0.539 μB per formula unit. The calculated formation energy is -0.725 eV per atom. The space group is P-6m2 (187).


No. 5
A plane-wave DFT calculation with r2SCAN was carried out for an optimized crystal structure of LiEr2Al.

Cell: 5.0980 5.0947 5.0874 Å, 59.95 59.92 59.99°
With the nearest neighbours (Å) after each atom.
Atoms (fractional coordinates):
Al1 0.2498 0.2498 0.2501  8 Er 3.11-3.12
Er1 0.5004 0.5002 0.4993  4 Li 3.11-3.12, 4 Al 3.12
Er2 0.9998 0.0000 0.0006  4 Li 3.11-3.12, 4 Al 3.11-3.12
Li1 0.7500 0.7501 0.7500  8 Er 3.11-3.12

Output
The value obtained for the magnetic moment is 0.000 μB per formula unit. The calculated formation energy is -0.239 eV per atom. The space group is R-3m (166).


No. 6
A plane-wave DFT calculation with r2SCAN was carried out for an optimized crystal structure of La3In4Ge.

Cell: 8.6385 8.6385 8.6385 Å, 119.70 119.70 90.51°
With the nearest neighbours (Å) after each atom.
Atoms (fractional coordinates):
La1 0.8342 0.6658 0.5000  2 Ge 3.24, 6 In 3.26-3.50
La2 0.7500 0.7500 0.0000  2 Ge 3.04
La3 0.2500 0.2500 0.0000  2 Ge 3.04
La4 0.6658 0.1658 0.8315  2 Ge 3.24, 6 In 3.26-3.50
La5 0.3342 0.8342 0.1685  2 Ge 3.24, 6 In 3.26-3.50
La6 0.1658 0.3342 0.5000  2 Ge 3.24, 6 In 3.26-3.50
In1 0.0425 0.5425 0.2151  3 In 2.93-3.08, 1 La 3.26
In2 0.3275 0.8275 0.7849  3 In 2.93-3.08, 1 La 3.26
In3 0.1725 0.9575 0.5000  3 In 2.93-3.08, 1 La 3.26
In4 0.4575 0.6725 0.5000  3 In 2.93-3.08, 1 La 3.26
In5 0.6725 0.1725 0.2151  3 In 2.93-3.08, 1 La 3.26
In6 0.9575 0.4575 0.7849  3 In 2.93-3.08, 1 La 3.26
In7 0.5425 0.3275 0.5000  3 In 2.93-3.08, 1 La 3.26
In8 0.8275 0.0425 0.5000  3 In 2.93-3.08, 1 La 3.26
Ge1 0.0000 0.0000 0.0000  6 La 3.04-3.24
Ge2 0.5000 0.5000 0.0000  6 La 3.04-3.24

Output
The value obtained for the magnetic moment is 0.000 μB per formula unit. The calculated formation energy is -0.738 eV per atom. The space group is I4/mcm (140).


No. 7
A plane-wave DFT calculation with r2SCAN was carried out for an optimized crystal structure of ScCu3.

Cell: 4.2932 4.2916 4.2903 Å, 59.96 59.96 59.92°
With the nearest neighbours (Å) after each atom.
Atoms (fractional coordinates):
Cu1 0.4998 0.5003 0.5002  4 Cu 2.62-2.63, 4 Sc 2.63
Cu2 0.2500 0.2500 0.2500  8 Cu 2.62-2.63
Cu3 0.0002 0.9997 0.9998  4 Cu 2.62-2.63, 4 Sc 2.63
Sc1 0.7500 0.7500 0.7500  8 Cu 2.63

Output
The value obtained for the magnetic moment is 0.000 μB per formula unit. The calculated formation energy is -0.128 eV per atom. The space group is Fm-3m (225).


No. 8
A plane-wave DFT calculation with r2SCAN was carried out for an optimized crystal structure of Na3GeSe3.

Cell: 11.9004 8.2376 8.3702 Å, 60.72 90.00 90.00°
With the nearest neighbours (Å) after each atom.
Atoms (fractional coordinates):
Se1 0.6976 0.3651 0.7460  1 Ge 2.36
Se2 0.8024 0.8651 0.7460  1 Ge 2.36
Se3 0.4698 0.7369 0.6697  1 Ge 2.35
Se4 0.9698 0.7631 0.3303  1 Ge 2.35
Se5 0.3805 0.2268 0.8386  1 Ge 2.35
Se6 0.1195 0.7268 0.8386  1 Ge 2.35
Se7 0.5302 0.2631 0.3303  1 Ge 2.35
Se8 0.1976 0.1349 0.2540  1 Ge 2.36
Se9 0.0302 0.2369 0.6697  1 Ge 2.35
Se10 0.8805 0.2732 0.1614  1 Ge 2.35
Se11 0.3024 0.6349 0.2540  1 Ge 2.36
Se12 0.6195 0.7732 0.1614  1 Ge 2.35
Na1 0.7292 0.7773 0.4673  4 Se 2.89-3.11
Na2 0.8372 0.0238 0.9946  6 Se 2.98-3.33
Na3 0.2708 0.2227 0.5327  4 Se 2.89-3.11
Na4 0.3372 0.4762 0.0054  6 Se 2.98-3.33
Na5 0.7708 0.2773 0.4673  4 Se 2.89-3.11
Na6 0.5593 0.0144 0.7704  6 Se 2.97-3.24
Na7 0.4407 0.9856 0.2296  6 Se 2.97-3.24
Na8 0.2292 0.7227 0.5327  4 Se 2.89-3.11
Na9 0.0593 0.4856 0.2296  6 Se 2.97-3.24
Na10 0.9407 0.5144 0.7704  6 Se 2.97-3.24
Na11 0.6629 0.5238 0.9946  6 Se 2.98-3.33
Na12 0.1628 0.9762 0.0054  6 Se 2.98-3.33
Ge1 0.5099 0.4626 0.6594  3 Se 2.35-2.36, 1 Ge 2.44
Ge2 0.0099 0.0374 0.3406  3 Se 2.35-2.36, 1 Ge 2.44
Ge3 0.4901 0.5374 0.3406  3 Se 2.35-2.36, 1 Ge 2.44
Ge4 0.9901 0.9626 0.6594  3 Se 2.35-2.36, 1 Ge 2.44

Output
The value obtained for the magnetic moment is 0.000 μB per formula unit. The calculated formation energy is -1.033 eV per atom. The space group is P2_1/c (14).


No. 9
A plane-wave DFT calculation with r2SCAN was carried out for an optimized crystal structure of UO2.

Cell: 3.8566 3.8566 3.8566 Å, 60.00 60.00 60.00°
With the nearest neighbours (Å) after each atom.
Atoms (fractional coordinates):
O1 0.2500 0.2500 0.2500  4 U 2.36
O2 0.7500 0.7500 0.7500  4 U 2.36
U1 0.5000 0.5000 0.5000  8 O 2.36

Output
The value obtained for the magnetic moment is 2.000 μB per formula unit. The calculated formation energy is -3.650 eV per atom. The space group is Fm-3m (225).


No. 10
A plane-wave DFT calculation with r2SCAN was carried out for an optimized crystal structure of Al23V4.

Cell: 7.6174 7.6174 16.9083 Å, 90.00 90.00 120.00°
With the nearest neighbours (Å) after each atom.
Atoms (fractional coordinates):
V1 0.7805 0.5611 0.2500  10 Al 2.52-2.77, 2 V 2.60
V2 0.0000 0.0000 0.0000  12 Al 2.57-2.82
V3 0.0000 0.0000 0.5000  12 Al 2.57-2.82
V4 0.4389 0.2195 0.2500  10 Al 2.52-2.77, 2 V 2.60
V5 0.7805 0.2195 0.2500  10 Al 2.52-2.77, 2 V 2.60
V6 0.2195 0.4389 0.7500  10 Al 2.52-2.77, 2 V 2.60
V7 0.5611 0.7805 0.7500  10 Al 2.52-2.77, 2 V 2.60
V8 0.2195 0.7805 0.7500  10 Al 2.52-2.77, 2 V 2.60
Al1 0.1258 0.8742 0.2500  2 V 2.52, 8 Al 2.78-2.80
Al2 0.5410 0.0821 0.6662  2 V 2.77, 10 Al 2.78-2.87
Al3 0.2103 0.7897 0.4702  10 Al 2.72-2.95, 1 V 2.82
Al4 0.8752 0.1248 0.1166  2 V 2.57-2.58, 10 Al 2.72-2.87
Al5 0.9179 0.4590 0.8338  2 V 2.77, 10 Al 2.78-2.87
Al6 0.1258 0.2516 0.2500  2 V 2.52, 8 Al 2.78-2.80
Al7 0.8752 0.7504 0.1166  2 V 2.57-2.58, 10 Al 2.72-2.87
Al8 0.2496 0.1248 0.1166  2 V 2.57-2.58, 10 Al 2.72-2.87
Al9 0.6667 0.3333 0.3847  3 V 2.73, 9 Al 2.75-2.94
Al10 0.8742 0.1258 0.7500  2 V 2.52, 8 Al 2.78-2.80
Al11 0.0821 0.5410 0.1662  2 V 2.77, 10 Al 2.78-2.87
Al12 0.7897 0.2103 0.9702  10 Al 2.72-2.95, 1 V 2.82
Al13 0.2103 0.7897 0.0298  10 Al 2.72-2.95, 1 V 2.82
Al14 0.4205 0.2103 0.5298  10 Al 2.72-2.95, 1 V 2.82
Al15 0.1248 0.2496 0.8834  2 V 2.57-2.58, 10 Al 2.72-2.87
Al16 0.8752 0.7504 0.3834  2 V 2.57-2.58, 10 Al 2.72-2.87
Al17 0.8752 0.1248 0.3834  2 V 2.57-2.58, 10 Al 2.72-2.87
Al18 0.2103 0.4205 0.0298  10 Al 2.72-2.95, 1 V 2.82
Al19 0.6667 0.3333 0.1153  3 V 2.73, 9 Al 2.75-2.94
Al20 0.2103 0.4205 0.4702  10 Al 2.72-2.95, 1 V 2.82
Al21 0.0821 0.5410 0.3338  2 V 2.77, 10 Al 2.78-2.87
Al22 0.5410 0.0821 0.8338  2 V 2.77, 10 Al 2.78-2.87
Al23 0.5795 0.7897 0.0298  10 Al 2.72-2.95, 1 V 2.82
Al24 0.2516 0.1258 0.7500  2 V 2.52, 8 Al 2.78-2.80
Al25 0.8742 0.7484 0.7500  2 V 2.52, 8 Al 2.78-2.80
Al26 0.4590 0.9179 0.1662  2 V 2.77, 10 Al 2.78-2.87
Al27 0.7897 0.2103 0.5298  10 Al 2.72-2.95, 1 V 2.82
Al28 0.1248 0.8752 0.8834  2 V 2.57-2.58, 10 Al 2.72-2.87
Al29 0.7504 0.8752 0.8834  2 V 2.57-2.58, 10 Al 2.72-2.87
Al30 0.2496 0.1248 0.3834  2 V 2.57-2.58, 10 Al 2.72-2.87
Al31 0.4590 0.5410 0.3338  2 V 2.77, 10 Al 2.78-2.87
Al32 0.1248 0.8752 0.6166  2 V 2.57-2.58, 10 Al 2.72-2.87
Al33 0.4205 0.2103 0.9702  10 Al 2.72-2.95, 1 V 2.82
Al34 0.9179 0.4590 0.6662  2 V 2.77, 10 Al 2.78-2.87
Al35 0.7897 0.5795 0.9702  10 Al 2.72-2.95, 1 V 2.82
Al36 0.5410 0.4590 0.8338  2 V 2.77, 10 Al 2.78-2.87
Al37 0.4590 0.9179 0.3338  2 V 2.77, 10 Al 2.78-2.87
Al38 0.7504 0.8752 0.6166  2 V 2.57-2.58, 10 Al 2.72-2.87
Al39 0.7484 0.8742 0.2500  2 V 2.52, 8 Al 2.78-2.80
Al40 0.5410 0.4590 0.6662  2 V 2.77, 10 Al 2.78-2.87
Al41 0.4590 0.5410 0.1662  2 V 2.77, 10 Al 2.78-2.87
Al42 0.5795 0.7897 0.4702  10 Al 2.72-2.95, 1 V 2.82
Al43 0.7897 0.5795 0.5298  10 Al 2.72-2.95, 1 V 2.82
Al44 0.3333 0.6667 0.8847  3 V 2.73, 9 Al 2.75-2.94
Al45 0.1248 0.2496 0.6166  2 V 2.57-2.58, 10 Al 2.72-2.87
Al46 0.3333 0.6667 0.6153  3 V 2.73, 9 Al 2.75-2.94

Output
The value obtained for the magnetic moment is 0.000 μB per formula unit. The calculated formation energy is -0.183 eV per atom. The space group is P6_3/mmc (194).


No. 11
A plane-wave DFT calculation with r2SCAN was carried out for an optimized crystal structure of Cu2O3.

Cell: 7.9651 7.9651 7.9651 Å, 109.47 109.47 109.47°
With the nearest neighbours (Å) after each atom.
Atoms (fractional coordinates):
O1 0.0428 0.2684 0.9801  3 Cu 1.86-1.95
O2 0.9373 0.4801 0.2117  3 Cu 1.86-1.95
O3 0.5428 0.5627 0.7745  3 Cu 1.86-1.95
O4 0.2316 0.2744 0.7117  3 Cu 1.86-1.95
O5 0.4801 0.2117 0.9373  3 Cu 1.86-1.95
O6 0.7117 0.2316 0.2745  3 Cu 1.86-1.95
O7 0.4373 0.2256 0.4572  3 Cu 1.86-1.95
O8 0.2117 0.9373 0.4801  3 Cu 1.86-1.95
O9 0.0627 0.5199 0.7883  3 Cu 1.86-1.95
O10 0.0199 0.9572 0.7317  3 Cu 1.86-1.95
O11 0.2745 0.7117 0.2317  3 Cu 1.86-1.95
O12 0.5627 0.7744 0.5428  3 Cu 1.86-1.95
O13 0.2883 0.7684 0.7255  3 Cu 1.86-1.95
O14 0.7255 0.2883 0.7683  3 Cu 1.86-1.95
O15 0.7745 0.5428 0.5627  3 Cu 1.86-1.95
O16 0.2684 0.9801 0.0428  3 Cu 1.86-1.95
O17 0.9572 0.7316 0.0199  3 Cu 1.86-1.95
O18 0.7883 0.0627 0.5199  3 Cu 1.86-1.95
O19 0.9801 0.0428 0.2683  3 Cu 1.86-1.95
O20 0.7684 0.7256 0.2883  3 Cu 1.86-1.95
O21 0.4572 0.4373 0.2255  3 Cu 1.86-1.95
O22 0.7316 0.0199 0.9572  3 Cu 1.86-1.95
O23 0.5199 0.7883 0.0627  3 Cu 1.86-1.95
O24 0.2255 0.4572 0.4373  3 Cu 1.86-1.95
Cu1 0.7161 0.4661 0.2500  4 O 1.86-1.93
Cu2 0.0000 0.5000 0.0000  6 O 1.95
Cu3 0.5339 0.7500 0.2839  4 O 1.86-1.93
Cu4 0.9661 0.2500 0.2161  4 O 1.86-1.93
Cu5 0.7500 0.7839 0.0339  4 O 1.86-1.93
Cu6 0.2500 0.7161 0.4661  4 O 1.86-1.93
Cu7 0.7500 0.2839 0.5339  4 O 1.86-1.93
Cu8 0.2839 0.5339 0.7500  4 O 1.86-1.93
Cu9 0.0339 0.7500 0.7839  4 O 1.86-1.93
Cu10 0.2500 0.2161 0.9661  4 O 1.86-1.93
Cu11 0.5000 0.5000 0.5000  6 O 1.95
Cu12 0.0000 0.0000 0.5000  6 O 1.95
Cu13 0.4661 0.2500 0.7161  4 O 1.86-1.93
Cu14 0.7839 0.0339 0.7500  4 O 1.86-1.93
Cu15 0.2161 0.9661 0.2500  4 O 1.86-1.93
Cu16 0.5000 0.0000 0.0000  6 O 1.95

Output
The value obtained for the magnetic moment is 0.000 μB per formula unit. The calculated formation energy is -0.555 eV per atom. The space group is Ia-3 (206).


No. 12
A plane-wave DFT calculation with r2SCAN was carried out for an optimized crystal structure of TmMg3.

Cell: 4.6081 4.6081 4.6081 Å, 90.00 90.00 90.00°
With the nearest neighbours (Å) after each atom.
Atoms (fractional coordinates):
Mg1 0.0000 0.5000 0.5000  8 Mg 3.26, 4 Tm 3.26
Mg2 0.5000 0.5000 0.0000  8 Mg 3.26, 4 Tm 3.26
Mg3 0.5000 0.0000 0.5000  8 Mg 3.26, 4 Tm 3.26
Tm1 0.0000 0.0000 0.0000  12 Mg 3.26

Output
The value obtained for the magnetic moment is 0.000 μB per formula unit. The calculated formation energy is -0.032 eV per atom. The space group is Pm-3m (221).